No. 1
# LiNdS2 | Materials Project | PBE | optimized geometry
# Spin magnetization: 0.00 μB per formula unit
# Corrected total energy (MP2020 scheme): -92.1 eV per cell
# Energy of formation from the pure elements: -779 kJ/mol of formula units
# Calculated volume: 361 Å³ per cell
data_LiNdS2
_chemical_formula_sum 'Li4 Nd4 S8'
_cell_length_a 5.6357
_cell_length_b 5.6357
_cell_length_c 11.3512
_cell_angle_alpha 90.00
_cell_angle_beta 90.00
_cell_angle_gamma 90.00
_symmetry_space_group_name_H-M 'I 41/a m d'
_symmetry_Int_Tables_number 141
loop_
_symmetry_equiv_pos_as_xyz
'x,y,z'
'-x,-y,-z'
'-y+1/4,x+3/4,z+1/4'
'y+1/4,-x+3/4,-z+1/4'
'-x+1/2,-y,z+1/2'
'x+1/2,y,-z+1/2'
'y+1/4,-x+1/4,z+3/4'
'-y+1/4,x+1/4,-z+3/4'
'x,-y,-z'
'-x,y,z'
'-y+1/4,-x+1/4,-z+3/4'
'y+1/4,x+1/4,z+3/4'
'-x+1/2,y,-z+1/2'
'x+1/2,-y,z+1/2'
'y+1/4,x+3/4,-z+1/4'
'-y+1/4,-x+3/4,z+1/4'
'x+1/2,y+1/2,z+1/2'
'-x+1/2,-y+1/2,-z+1/2'
'-y+3/4,x+1/4,z+3/4'
'y+3/4,-x+1/4,-z+3/4'
'-x,-y+1/2,z'
'x,y+1/2,-z'
'y+3/4,-x+3/4,z+1/4'
'-y+3/4,x+3/4,-z+1/4'
'x+1/2,-y+1/2,-z+1/2'
'-x+1/2,y+1/2,z+1/2'
'-y+3/4,-x+3/4,-z+1/4'
'y+3/4,x+3/4,z+1/4'
'-x,y+1/2,-z'
'x,-y+1/2,z'
'y+3/4,x+1/4,-z+3/4'
'-y+3/4,-x+1/4,z+3/4'
loop_
_atom_site_label
_atom_site_fract_x
_atom_site_fract_y
_atom_site_fract_z
_atom_site_occupancy
Li1 0.0000 0.2500 0.3750 1
Nd1 0.0000 0.2500 0.8750 1
S1 0.0000 0.2500 0.1244 1

No. 2
# Pt3PbC | Materials Project | PBE | optimized geometry
# Spin magnetization: 0.00 μB per formula unit
# Energy of formation from the pure elements: 188 kJ/mol of formula units
# Calculated volume: 82 Å³ per cell
data_Pt3PbC
_chemical_formula_sum 'Pt3 Pb1 C1'
_cell_length_a 4.3480
_cell_length_b 4.3480
_cell_length_c 4.3480
_cell_angle_alpha 90.00
_cell_angle_beta 90.00
_cell_angle_gamma 90.00
_symmetry_space_group_name_H-M 'P m -3 m'
_symmetry_Int_Tables_number 221
_symmetry_space_group_name_Hall '-P 4 2 3'
loop_
_atom_site_label
_atom_site_fract_x
_atom_site_fract_y
_atom_site_fract_z
_atom_site_occupancy
Pt1 0.0000 0.0000 0.5000 1
Pb1 0.5000 0.5000 0.5000 1
C1 0.0000 0.0000 0.0000 1

No. 3
# K4Na2H18PdI2O20 | Materials Project | PBE | optimized geometry
# Spin magnetization: 0.00 μB per formula unit
# Corrected total energy (MP2020 scheme): -239.7 eV per cell
# Energy of formation from the pure elements: -6206 kJ/mol of formula units
# Calculated volume: 528 Å³ per cell
data_K4Na2H18PdI2O20
_chemical_formula_sum 'K4 Na2 H18 Pd1 I2 O20'
_cell_length_a 6.8411
_cell_length_b 7.3116
_cell_length_c 10.9759
_cell_angle_alpha 93.86
_cell_angle_beta 104.55
_cell_angle_gamma 94.28
_symmetry_space_group_name_H-M 'P -1'
_symmetry_Int_Tables_number 2
loop_
_symmetry_equiv_pos_as_xyz
'x,y,z'
'-x,-y,-z'
loop_
_atom_site_label
_atom_site_fract_x
_atom_site_fract_y
_atom_site_fract_z
_atom_site_occupancy
K1 0.0854 0.3184 0.1392 1
K2 0.0996 0.3311 0.6160 1
Na1 0.2937 0.8314 0.2328 1
H1 0.0918 0.1114 0.3796 1
H2 0.1448 0.1391 0.8632 1
H3 0.1769 0.3572 0.8790 1
H4 0.3074 0.0122 0.5678 1
H5 0.3294 0.1303 0.3911 1
H6 0.3483 0.6154 0.9960 1
H7 0.3613 0.6459 0.4647 1
H8 0.3886 0.4906 0.3665 1
H9 0.4538 0.5341 0.1233 1
Pd1 0.5000 0.0000 0.0000 1
I1 0.3437 0.7940 0.7405 1
O1 0.0721 0.2529 0.8659 1
O2 0.0835 0.7321 0.6376 1
O3 0.2153 0.0413 0.3992 1
O4 0.2360 0.9280 0.8677 1
O5 0.3101 0.5989 0.3736 1
O6 0.3321 0.5976 0.0820 1
O7 0.3375 0.5757 0.8227 1
O8 0.3552 0.0382 0.6618 1
O9 0.3973 0.1056 0.1447 1
O10 0.4819 0.7003 0.6258 1

No. 4
# NdFeNi4 | Materials Project | PBE | optimized geometry
# Spin magnetization: 3.95 μB per formula unit
# Energy of formation from the pure elements: -116 kJ/mol of formula units
# Calculated volume: 85 Å³ per cell
data_NdFeNi4
_chemical_formula_sum 'Nd1 Fe1 Ni4'
_cell_length_a 4.9953
_cell_length_b 4.9953
_cell_length_c 3.9523
_cell_angle_alpha 90.00
_cell_angle_beta 90.00
_cell_angle_gamma 120.00
_symmetry_space_group_name_H-M 'P -6 m 2'
_symmetry_Int_Tables_number 187
_symmetry_space_group_name_Hall 'P -6 2'
loop_
_atom_site_label
_atom_site_fract_x
_atom_site_fract_y
_atom_site_fract_z
_atom_site_occupancy
Nd1 0.0000 0.0000 0.0000 1
Fe1 0.3333 0.6667 0.0000 1
Ni1 0.9996 0.4998 0.5000 1
Ni2 0.6667 0.3333 0.0000 1